Compound: Sm11Hg45
Source: the Materials Project database
Functional: PBE
Structure: relaxed

a b c (Å): 15.699 15.699 15.699
angles (deg): 60.00 60.00 60.00
Atoms (fractional coordinates):
Hg 0.741 0.129 0.741
Hg 0.984 0.800 0.608
Hg 0.357 0.734 0.552
Hg 0.357 0.552 0.734
Hg 0.487 0.487 0.862
Hg 0.085 0.085 0.744
Sm 0.669 0.362 0.984
Hg 0.596 0.936 0.234
Hg 0.487 0.487 0.164
Hg 0.596 0.234 0.234
Hg 0.487 0.862 0.164
Hg 0.800 0.608 0.984
Hg 0.234 0.234 0.596
Hg 0.838 0.838 0.838
Hg 0.741 0.741 0.129
Sm 0.338 0.338 0.987
Hg 0.734 0.357 0.552
Sm 0.984 0.362 0.984
Hg 0.485 0.838 0.838
Hg 0.734 0.552 0.357
Hg 0.164 0.862 0.487
Hg 0.487 0.164 0.487
Hg 0.173 0.173 0.481
Hg 0.153 0.847 0.847
Hg 0.085 0.744 0.085
Hg 0.936 0.596 0.234
Hg 0.164 0.487 0.862
Sm 0.669 0.984 0.984
Sm 0.984 0.362 0.669
Sm 0.750 0.750 0.750
Sm 0.594 0.594 0.217
Hg 0.129 0.741 0.741
Hg 0.357 0.357 0.552
Hg 0.234 0.936 0.234
Hg 0.412 0.412 0.088
Hg 0.741 0.389 0.129
Hg 0.153 0.847 0.153
Sm 0.338 0.338 0.338
Sm 0.362 0.984 0.984
Sm 0.984 0.984 0.362
Hg 0.984 0.608 0.800
Hg 0.129 0.389 0.741
Hg 0.917 0.249 0.917
Hg 0.389 0.741 0.129
Hg 0.389 0.741 0.741
Hg 0.088 0.088 0.412
Hg 0.838 0.838 0.485
Sm 0.217 0.594 0.594
Hg 0.847 0.153 0.847
Sm 0.000 0.000 0.000
Hg 0.608 0.800 0.984
Hg 0.481 0.173 0.173
Hg 0.917 0.917 0.249
Hg 0.608 0.984 0.800
Sm 0.594 0.594 0.594
Sm 0.984 0.669 0.984
Hg 0.357 0.357 0.734
Sm 0.987 0.338 0.338
Hg 0.741 0.741 0.389
Hg 0.800 0.984 0.608
Hg 0.153 0.153 0.847
Hg 0.608 0.800 0.608
Hg 0.357 0.734 0.357
Hg 0.862 0.487 0.487
Hg 0.357 0.552 0.357
Hg 0.608 0.608 0.984
Hg 0.744 0.085 0.085
Sm 0.669 0.984 0.362
Hg 0.129 0.741 0.389
Hg 0.608 0.984 0.608
Sm 0.338 0.987 0.338
Hg 0.984 0.608 0.608
Hg 0.088 0.412 0.412
Hg 0.500 0.500 0.500
Hg 0.412 0.088 0.412
Hg 0.862 0.487 0.164
Sm 0.362 0.984 0.669
Hg 0.847 0.153 0.153
Hg 0.487 0.862 0.487
Hg 0.734 0.357 0.357
Sm 0.594 0.217 0.594
Sm 0.984 0.984 0.669
Hg 0.088 0.412 0.088
Sm 0.984 0.669 0.362
Hg 0.250 0.250 0.250
Hg 0.164 0.487 0.487
Hg 0.936 0.234 0.234
Hg 0.741 0.129 0.389
Hg 0.552 0.734 0.357
Hg 0.234 0.936 0.596
Hg 0.847 0.847 0.153
Hg 0.552 0.357 0.734
Hg 0.234 0.234 0.936
Hg 0.234 0.596 0.936
Hg 0.487 0.164 0.862
Hg 0.552 0.357 0.357
Hg 0.173 0.481 0.173
Hg 0.412 0.088 0.088
Hg 0.596 0.234 0.936
Hg 0.917 0.917 0.917
Hg 0.389 0.129 0.741
Hg 0.234 0.596 0.234
Hg 0.085 0.085 0.085
Hg 0.838 0.485 0.838
Hg 0.800 0.608 0.608
Hg 0.862 0.164 0.487
Hg 0.173 0.173 0.173
Hg 0.608 0.608 0.800
Sm 0.362 0.669 0.984
Hg 0.936 0.234 0.596
Hg 0.249 0.917 0.917
Hg 0.741 0.389 0.741

Output
**Space group**: F-43m
**Size of the total moment**: 1.018 μB per formula unit
**Formation enthalpy at 0 K**: -12.2 eV per formula unit